Compound: BaNb8O14
Source: the Materials Project database
Functional: PBE-GGA
Structure: optimized geometry

a = 9.585 Å, b = 10.502 Å, c = 24.066 Å
α = 90.00°, β = 90.00°, γ = 90.00°
Positions (direct):
1 O 0.258 0.594 0.312
2 Nb 0.638 0.814 0.747
3 O 0.760 0.653 0.624
4 O 0.259 0.585 0.938
5 O 0.746 0.163 0.749
6 Nb 0.124 0.425 0.183
7 Nb 0.618 0.339 0.620
8 O 0.758 0.406 0.188
9 Nb 0.118 0.661 0.880
10 O 0.993 0.753 0.064
11 O 0.507 0.762 0.811
12 O 0.740 0.153 0.376
13 O 0.241 0.585 0.438
14 O 0.258 0.094 0.188
15 Nb 0.383 0.661 0.001
16 O 0.744 0.414 0.937
17 O 0.000 0.000 0.000
18 O 0.756 0.658 0.375
19 Nb 0.376 0.425 0.683
20 O 0.741 0.415 0.062
21 Nb 0.376 0.421 0.434
22 O 0.750 0.909 0.688
23 O 0.760 0.153 0.876
24 O 0.513 0.983 0.753
25 O 0.491 0.753 0.187
26 Nb 0.362 0.686 0.247
27 Nb 0.618 0.839 0.880
28 Nb 0.625 0.076 0.067
29 Nb 0.376 0.925 0.817
30 O 0.244 0.086 0.937
31 O 0.007 0.247 0.062
32 O 0.500 0.500 0.000
33 Nb 0.125 0.424 0.067
34 O 0.230 0.818 0.500
35 O 0.256 0.342 0.125
36 Nb 0.876 0.074 0.318
37 O 0.246 0.337 0.749
38 O 0.509 0.747 0.687
39 O 0.259 0.085 0.562
40 Nb 0.375 0.424 0.567
41 O 0.770 0.182 0.500
42 O 0.993 0.762 0.311
43 O 0.500 0.000 0.500
44 Nb 0.876 0.575 0.817
45 O 0.487 0.017 0.247
46 Nb 0.376 0.426 0.318
47 Nb 0.382 0.661 0.380
48 O 0.742 0.906 0.812
49 Ba 0.507 0.488 0.135
50 O 0.254 0.837 0.251
51 O 0.246 0.837 0.751
52 O 0.254 0.337 0.249
53 Nb 0.875 0.576 0.933
54 Ba 0.993 0.988 0.865
55 O 0.744 0.914 0.563
56 O 0.242 0.594 0.812
57 Nb 0.383 0.161 0.499
58 O 0.991 0.247 0.313
59 O 0.493 0.738 0.311
60 O 0.730 0.182 0.000
61 Nb 0.883 0.339 0.499
62 O 0.507 0.753 0.438
63 O 0.513 0.483 0.747
64 O 0.740 0.653 0.124
65 Nb 0.617 0.835 0.124
66 O 0.987 0.483 0.247
67 Nb 0.624 0.574 0.682
68 O 0.256 0.842 0.375
69 O 0.000 0.500 0.000
70 O 0.493 0.247 0.562
71 Nb 0.124 0.925 0.317
72 O 0.000 0.000 0.500
73 O 0.750 0.409 0.812
74 O 0.493 0.747 0.938
75 Nb 0.624 0.079 0.934
76 O 0.744 0.658 0.875
77 O 0.250 0.591 0.688
78 Nb 0.876 0.574 0.182
79 Nb 0.624 0.074 0.818
80 O 0.742 0.406 0.688
81 Nb 0.617 0.339 0.999
82 O 0.750 0.909 0.188
83 Nb 0.117 0.665 0.124
84 O 0.009 0.753 0.687
85 Nb 0.876 0.075 0.683
86 O 0.250 0.091 0.812
87 Nb 0.124 0.926 0.682
88 Nb 0.638 0.314 0.753
89 Nb 0.117 0.661 0.501
90 Nb 0.624 0.579 0.566
91 Nb 0.875 0.076 0.567
92 O 0.241 0.085 0.062
93 O 0.250 0.591 0.188
94 O 0.007 0.747 0.564
95 O 0.758 0.906 0.312
96 O 0.491 0.253 0.313
97 O 0.240 0.847 0.124
98 O 0.500 0.500 0.500
99 Nb 0.862 0.314 0.253
100 O 0.007 0.238 0.689
101 O 0.754 0.163 0.249
102 O 0.244 0.342 0.625
103 Nb 0.138 0.186 0.753
104 Nb 0.376 0.921 0.066
105 Nb 0.883 0.835 0.624
106 Nb 0.883 0.335 0.876
107 Nb 0.876 0.079 0.434
108 Nb 0.118 0.161 0.620
109 Ba 0.507 0.988 0.365
110 O 0.270 0.818 0.000
111 O 0.013 0.017 0.747
112 Nb 0.382 0.161 0.120
113 Nb 0.617 0.335 0.376
114 O 0.000 0.500 0.500
115 O 0.507 0.253 0.936
116 Nb 0.125 0.924 0.433
117 O 0.013 0.517 0.753
118 Ba 0.993 0.488 0.635
119 Nb 0.876 0.579 0.066
120 Nb 0.624 0.575 0.317
121 Nb 0.625 0.576 0.433
122 O 0.756 0.158 0.125
123 Nb 0.117 0.165 0.376
124 Nb 0.617 0.839 0.501
125 Nb 0.624 0.075 0.183
126 O 0.260 0.847 0.624
127 O 0.746 0.663 0.751
128 O 0.750 0.409 0.312
129 O 0.244 0.586 0.563
130 O 0.993 0.262 0.189
131 O 0.244 0.842 0.875
132 Nb 0.883 0.839 0.001
133 O 0.744 0.158 0.625
134 O 0.007 0.247 0.936
135 O 0.270 0.318 0.500
136 O 0.507 0.253 0.062
137 Nb 0.882 0.339 0.120
138 O 0.493 0.247 0.436
139 O 0.487 0.517 0.253
140 Nb 0.124 0.426 0.818
141 O 0.230 0.318 0.000
142 O 0.007 0.747 0.438
143 O 0.260 0.347 0.876
144 O 0.730 0.682 0.500
145 O 0.242 0.094 0.688
146 O 0.756 0.914 0.063
147 Nb 0.882 0.839 0.380
148 Nb 0.117 0.161 0.999
149 O 0.500 0.000 0.000
150 O 0.993 0.753 0.938
151 O 0.256 0.586 0.063
152 Nb 0.362 0.186 0.253
153 O 0.507 0.262 0.689
154 O 0.754 0.663 0.251
155 O 0.759 0.415 0.562
156 O 0.987 0.983 0.253
157 Nb 0.375 0.924 0.933
158 Nb 0.383 0.665 0.624
159 O 0.240 0.347 0.376
160 Nb 0.124 0.421 0.934
161 Nb 0.124 0.921 0.566
162 Ba 0.007 0.512 0.365
163 Ba 0.493 0.512 0.865
164 O 0.007 0.738 0.811
165 O 0.009 0.253 0.813
166 O 0.493 0.238 0.189
167 O 0.509 0.247 0.813
168 O 0.493 0.747 0.064
169 Nb 0.376 0.926 0.182
170 Ba 0.007 0.012 0.135
171 O 0.993 0.253 0.436
172 O 0.759 0.915 0.938
173 Ba 0.493 0.012 0.635
174 O 0.991 0.747 0.187
175 O 0.770 0.682 0.000
176 O 0.250 0.091 0.312
177 O 0.256 0.086 0.437
178 Nb 0.138 0.686 0.747
179 Nb 0.383 0.165 0.876
180 Nb 0.862 0.814 0.247
181 O 0.756 0.414 0.437
182 O 0.507 0.753 0.564
183 O 0.993 0.253 0.562
184 O 0.741 0.915 0.438

Computed properties:
ΔE_f = -2.863 eV/atom


Compound: Ba4Nb3O12
Source: the Materials Project database
Functional: PBE-GGA
Structure: optimized geometry

a = 5.922 Å, b = 5.922 Å, c = 19.459 Å
α = 90.00°, β = 90.00°, γ = 120.00°
Positions (direct):
1 O 0.830 0.660 0.377
2 Ba 0.333 0.667 0.145
3 O 0.824 0.647 0.116
4 O 0.176 0.824 0.616
5 Ba 0.000 0.000 0.010
6 O 0.497 0.503 0.994
7 O 0.647 0.824 0.616
8 O 0.170 0.340 0.877
9 Nb 0.667 0.333 0.065
10 Nb 0.000 0.000 0.803
11 Ba 0.000 0.000 0.510
12 O 0.824 0.176 0.116
13 O 0.837 0.163 0.759
14 Nb 0.333 0.667 0.565
15 O 0.673 0.837 0.259
16 O 0.503 0.005 0.494
17 Nb 0.000 0.000 0.303
18 Ba 0.333 0.667 0.744
19 Ba 0.667 0.333 0.244
20 O 0.327 0.163 0.759
21 Ba 0.667 0.333 0.869
22 Nb 0.333 0.667 0.936
23 O 0.837 0.673 0.759
24 O 0.163 0.837 0.259
25 O 0.995 0.497 0.494
26 Ba 0.333 0.667 0.369
27 Ba 0.667 0.333 0.645
28 O 0.497 0.995 0.994
29 O 0.170 0.830 0.877
30 O 0.163 0.327 0.259
31 O 0.005 0.503 0.994
32 O 0.176 0.353 0.616
33 O 0.503 0.497 0.494
34 O 0.830 0.170 0.377
35 O 0.340 0.170 0.377
36 Nb 0.667 0.333 0.436
37 O 0.353 0.176 0.116
38 O 0.660 0.830 0.877

Computed properties:
ΔE_f = -3.132 eV/atom
Magnetic moment = 0.053 μB/atom


Compound: BaNb8O14
Source: the Materials Project database
Functional: PBE-GGA
Structure: optimized geometry

a = 6.025 Å, b = 9.509 Å, c = 10.407 Å
α = 90.00°, β = 90.00°, γ = 90.00°
Positions (direct):
1 Nb 0.500 0.620 0.336
2 Ba 0.500 0.000 0.500
3 Nb 0.500 0.880 0.836
4 O 0.253 0.505 0.753
5 Nb 0.269 0.876 0.076
6 O 0.750 0.756 0.413
7 Nb 0.000 0.382 0.164
8 O 0.747 0.505 0.753
9 O 0.750 0.244 0.587
10 Nb 0.000 0.118 0.664
11 O 0.000 0.732 0.678
12 O 0.253 0.005 0.747
13 O 0.500 0.744 0.156
14 Nb 0.500 0.380 0.664
15 Nb 0.731 0.624 0.576
16 O 0.000 0.500 0.500
17 Nb 0.000 0.618 0.836
18 O 0.250 0.756 0.413
19 Nb 0.269 0.376 0.424
20 O 0.000 0.268 0.322
21 O 0.253 0.995 0.253
22 Nb 0.500 0.120 0.164
23 O 0.750 0.256 0.087
24 O 0.500 0.256 0.844
25 O 0.747 0.005 0.747
26 O 0.250 0.256 0.087
27 Nb 0.269 0.624 0.576
28 O 0.250 0.744 0.913
29 O 0.000 0.500 0.000
30 O 0.000 0.000 0.500
31 O 0.000 0.768 0.178
32 Nb 0.731 0.876 0.076
33 O 0.250 0.244 0.587
34 Nb 0.731 0.124 0.924
35 O 0.500 0.756 0.656
36 O 0.000 0.000 0.000
37 O 0.500 0.244 0.344
38 O 0.747 0.995 0.253
39 O 0.253 0.495 0.247
40 O 0.000 0.232 0.822
41 Nb 0.000 0.882 0.336
42 O 0.747 0.495 0.247
43 Nb 0.731 0.376 0.424
44 O 0.750 0.744 0.913
45 Ba 0.500 0.500 0.000
46 Nb 0.269 0.124 0.924

Computed properties:
ΔE_f = -2.860 eV/atom
Magnetic moment = 0.000 μB/atom


What is the formula in the second record? Ba4Nb3O12


Among the records above, which one has the highest ΔE_f? number 3


ΔE_f of number 3 (BaNb8O14)? -2.860 eV/atom


ΔE_f of number 1 (BaNb8O14)? -2.863 eV/atom